{
  "formula": "FeNi2S4",
  "functional": "PBE",
  "state": "optimized geometry",
  "spacegroup": "Imma (74)",
  "e_above_lowest_polymorph_mev_per_atom": 0,
  "total_magnetization_mub_per_atom": 0.072,
  "energy_ev_per_cell": -78.94,
  "cell": [[-3.298, 3.327, 4.691], [3.298, -3.327, 4.691], [3.298, 3.327, -4.691]],
  "species": ["Fe", "Fe", "Ni", "Ni", "Ni", "Ni", "S", "S", "S", "S", "S", "S", "S", "S"],
  "fractional_positions": [[0.500, 0.500, 0.500], [0.500, 0.000, 0.000], [0.124, 0.374, 0.750], [0.000, 0.000, 0.000], [0.500, 0.000, 0.500], [0.876, 0.626, 0.250], [0.261, 0.774, 0.013], [0.261, 0.247, 0.487], [0.266, 0.245, 0.021], [0.723, 0.245, 0.479], [0.277, 0.755, 0.521], [0.734, 0.755, 0.979], [0.739, 0.753, 0.513], [0.739, 0.226, 0.987]]
}

---

{
  "formula": "FeNi35S32",
  "functional": "PBE",
  "state": "optimized geometry",
  "spacegroup": "I222 (23)",
  "total_magnetization_mub_per_atom": 0.035,
  "energy_ev_per_cell": -380.77,
  "cell": [[-10.823, 3.726, 3.067], [-5.618, 1.625, -10.306], [5.464, -9.233, 5.032]],
  "species": ["Fe", "Ni", "Ni", "Ni", "Ni", "Ni", "Ni", "Ni", "Ni", "Ni", "Ni", "Ni", "Ni", "Ni", "Ni", "Ni", "Ni", "Ni", "Ni", "Ni", "Ni", "Ni", "Ni", "Ni", "Ni", "Ni", "Ni", "Ni", "Ni", "Ni", "Ni", "Ni", "Ni", "Ni", "Ni", "Ni", "S", "S", "S", "S", "S", "S", "S", "S", "S", "S", "S", "S", "S", "S", "S", "S", "S", "S", "S", "S", "S", "S", "S", "S", "S", "S", "S", "S", "S", "S", "S", "S"],
  "fractional_positions": [[0.000, 0.500, 0.500], [0.400, 0.687, 0.461], [0.900, 0.187, 0.461], [0.226, 0.939, 0.539], [0.726, 0.439, 0.539], [0.100, 0.561, 0.287], [0.600, 0.061, 0.287], [0.274, 0.813, 0.713], [0.774, 0.313, 0.713], [0.986, 0.750, 0.236], [0.486, 0.250, 0.236], [0.514, 0.750, 0.764], [0.014, 0.250, 0.764], [0.114, 0.614, 0.000], [0.614, 0.114, 0.000], [0.886, 0.886, 0.500], [0.386, 0.386, 0.500], [0.000, 0.777, 0.777], [0.500, 0.278, 0.778], [0.500, 0.722, 0.222], [0.000, 0.223, 0.223], [0.392, 0.392, 0.000], [0.892, 0.892, 0.000], [0.108, 0.108, 0.000], [0.608, 0.608, 0.000], [0.250, 0.250, 0.000], [0.750, 0.750, 0.000], [0.500, 0.000, 0.500], [0.624, 0.566, 0.312], [0.124, 0.066, 0.312], [0.254, 0.312, 0.688], [0.754, 0.812, 0.688], [0.876, 0.188, 0.942], [0.376, 0.688, 0.943], [0.246, 0.934, 0.058], [0.746, 0.434, 0.057], [0.436, 0.453, 0.249], [0.936, 0.953, 0.249], [0.203, 0.187, 0.751], [0.703, 0.687, 0.751], [0.064, 0.313, 0.017], [0.564, 0.813, 0.017], [0.297, 0.047, 0.983], [0.797, 0.547, 0.983], [0.187, 0.687, 0.260], [0.687, 0.188, 0.260], [0.428, 0.927, 0.740], [0.927, 0.427, 0.740], [0.313, 0.573, 0.501], [0.813, 0.073, 0.501], [0.073, 0.812, 0.499], [0.572, 0.313, 0.499], [0.789, 0.058, 0.966], [0.288, 0.558, 0.965], [0.092, 0.823, 0.034], [0.592, 0.323, 0.035], [0.712, 0.677, 0.269], [0.211, 0.177, 0.269], [0.408, 0.442, 0.731], [0.908, 0.942, 0.731], [0.549, 0.799, 0.483], [0.048, 0.304, 0.485], [0.316, 0.066, 0.517], [0.820, 0.563, 0.515], [0.952, 0.437, 0.256], [0.451, 0.934, 0.250], [0.180, 0.696, 0.744], [0.684, 0.201, 0.750]]
}

---

{
  "formula": "Fe2NiSe4",
  "functional": "PBE",
  "state": "optimized geometry",
  "spacegroup": "C2/m (12)",
  "total_magnetization_mub_per_atom": 0.511,
  "energy_ev_per_cell": -38.44,
  "cell": [[-1.240, 0.942, -3.125], [2.966, -4.710, -2.595], [-5.231, -1.421, 3.595]],
  "species": ["Fe", "Fe", "Ni", "Se", "Se", "Se", "Se"],
  "fractional_positions": [[0.754, 0.014, 0.436], [0.246, 0.414, 0.421], [0.500, 0.714, 0.929], [0.389, 0.263, 0.707], [0.611, 0.165, 0.150], [0.139, 0.694, 0.207], [0.861, 0.735, 0.650]]
}

---

{
  "formula": "Fe2NiSe4",
  "functional": "PBE",
  "state": "optimized geometry",
  "spacegroup": "Cm (8)",
  "total_magnetization_mub_per_atom": 0.385,
  "energy_ev_per_cell": -38.37,
  "cell": [[5.617, -2.589, -1.141], [6.205, 0.879, -0.531], [3.619, -1.459, 4.814]],
  "species": ["Fe", "Fe", "Ni", "Se", "Se", "Se", "Se"],
  "fractional_positions": [[0.998, 0.998, 0.999], [0.260, 0.260, 0.719], [0.739, 0.739, 0.285], [0.879, 0.879, 0.459], [0.120, 0.120, 0.550], [0.637, 0.637, 0.020], [0.367, 0.367, 0.967]]
}

---

{
  "formula": "Fe2NiSe4",
  "functional": "PBE",
  "state": "optimized geometry",
  "spacegroup": "P1 (1)",
  "total_magnetization_mub_per_atom": 0.452,
  "energy_ev_per_cell": -38.40,
  "cell": [[-2.749, 1.547, -1.417], [-1.729, -5.315, -2.286], [-0.813, 0.782, 6.347]],
  "species": ["Fe", "Fe", "Ni", "Se", "Se", "Se", "Se"],
  "fractional_positions": [[0.747, 0.020, 0.438], [0.245, 0.411, 0.415], [0.518, 0.713, 0.938], [0.379, 0.266, 0.708], [0.615, 0.164, 0.145], [0.143, 0.693, 0.209], [0.854, 0.734, 0.648]]
}

---

{
  "formula": "Fe2SiNi",
  "functional": "PBE",
  "state": "optimized geometry",
  "spacegroup": "F-43m (216)",
  "total_magnetization_mub_per_atom": 1.205,
  "energy_ev_per_cell": -29.35,
  "cell": [[0.000, 2.820, 2.820], [2.820, 0.000, 2.820], [2.820, 2.820, 0.000]],
  "species": ["Fe", "Fe", "Si", "Ni"],
  "fractional_positions": [[0.250, 0.250, 0.250], [0.000, 0.000, 0.000], [0.750, 0.750, 0.750], [0.500, 0.500, 0.500]]
}

---

{
  "formula": "FeSiNi",
  "functional": "PBE",
  "state": "optimized geometry",
  "spacegroup": "Pnma (62)",
  "total_magnetization_mub_per_atom": 0.508,
  "energy_ev_per_cell": -83.71,
  "cell": [[3.672, 0.000, 0.000], [0.000, 5.246, 0.000], [0.000, 0.000, 6.949]],
  "species": ["Fe", "Fe", "Fe", "Fe", "Si", "Si", "Si", "Si", "Ni", "Ni", "Ni", "Ni"],
  "fractional_positions": [[0.250, 0.039, 0.302], [0.250, 0.539, 0.198], [0.750, 0.961, 0.698], [0.750, 0.461, 0.802], [0.250, 0.227, 0.619], [0.250, 0.727, 0.881], [0.750, 0.773, 0.381], [0.750, 0.273, 0.119], [0.250, 0.157, 0.942], [0.250, 0.657, 0.558], [0.750, 0.843, 0.058], [0.750, 0.343, 0.442]]
}

---

{
  "formula": "UFe5Si2Ni5",
  "functional": "PBE",
  "state": "optimized geometry",
  "spacegroup": "P-1 (2)",
  "total_magnetization_mub_per_atom": 0.864,
  "energy_ev_per_cell": -95.00,
  "cell": [[4.837, 0.000, 0.000], [-2.317, -5.792, 0.000], [-2.412, 0.253, -5.810]],
  "species": ["U", "Fe", "Fe", "Fe", "Fe", "Fe", "Si", "Si", "Ni", "Ni", "Ni", "Ni", "Ni"],
  "fractional_positions": [[0.000, 0.000, 0.000], [0.721, 0.225, 0.222], [0.279, 0.775, 0.778], [0.501, 0.777, 0.220], [0.499, 0.223, 0.780], [0.500, 0.500, 0.000], [0.995, 0.351, 0.646], [0.005, 0.649, 0.354], [0.669, 0.657, 0.660], [0.331, 0.343, 0.340], [0.000, 0.500, 0.000], [0.500, 0.000, 0.500], [0.000, 0.000, 0.500]]
}